# 1
First-principles (PBE) data for a relaxed LaCu5 crystal, as listed in the Materials Project.

Properties
- Mass density: 7.947 g/cm³
- ΔH_f (0 K): -0.149 eV/atom
- SG: No. 191

Unit cell a=5.160 b=5.160 c=4.138 alpha=90.00 beta=90.00 gamma=120.00
Fractional coordinates of all 6 atoms:
1 Cu 0.333 0.667 0.000
2 Cu 0.500 0.000 0.500
3 Cu 0.500 0.500 0.500
4 Cu 0.000 0.500 0.500
5 Cu 0.667 0.333 0.000
6 La 0.000 0.000 0.000

# 2
First-principles (PBE) data for a relaxed K3EuF6 crystal, as listed in the Materials Project.

Properties
- Mass density: 2.931 g/cm³
- ΔH_f (0 K): -3.254 eV/atom
- SG: No. 225

Unit cell a=6.746 b=6.746 c=6.746 alpha=60.00 beta=60.00 gamma=60.00
Fractional coordinates of all 10 atoms:
1 F 0.766 0.766 0.234
2 F 0.234 0.766 0.766
3 F 0.766 0.234 0.766
4 F 0.234 0.766 0.234
5 F 0.234 0.234 0.766
6 F 0.766 0.234 0.234
7 K 0.750 0.750 0.750
8 K 0.250 0.250 0.250
9 K 0.500 0.500 0.500
10 Eu 0.000 0.000 0.000

# 3
First-principles (PBE) data for a relaxed KHgBr3O crystal, as listed in the Materials Project.

Properties
- Energy above the most stable polymorph in this dataset: 44 meV/atom
- Mass density: 4.314 g/cm³
- ΔH_f (0 K): -0.734 eV/atom
- SG: No. 36

Unit cell a=9.247 b=9.247 c=9.608 alpha=90.00 beta=90.00 gamma=152.34
Fractional coordinates of all 12 atoms:
1 O 0.789 0.211 0.071
2 O 0.211 0.789 0.571
3 Br 0.541 0.459 0.868
4 Br 0.142 0.858 0.141
5 Br 0.858 0.142 0.641
6 Br 0.114 0.886 0.524
7 Br 0.886 0.114 0.024
8 Br 0.459 0.541 0.368
9 K 0.738 0.262 0.356
10 K 0.262 0.738 0.856
11 Hg 0.996 0.004 0.718
12 Hg 0.004 0.996 0.218

# 4
First-principles (PBE) data for a relaxed TlCr5Te8 crystal, as listed in the Materials Project.

Properties
- Energy above the most stable polymorph in this dataset: 0 meV/atom
- Mass density: 6.543 g/cm³
- ΔH_f (0 K): -0.457 eV/atom
- SG: No. 8

Unit cell a=10.396 b=10.396 c=9.556 alpha=75.94 beta=75.94 gamma=22.13
Fractional coordinates of all 14 atoms:
1 Te 0.260 0.260 0.657
2 Te 0.331 0.331 0.993
3 Te 0.072 0.072 0.334
4 Te 0.670 0.670 0.007
5 Te 0.414 0.414 0.323
6 Te 0.586 0.586 0.678
7 Te 0.928 0.928 0.666
8 Te 0.739 0.739 0.344
9 Cr 0.156 0.156 0.518
10 Cr 0.795 0.795 0.831
11 Cr 0.843 0.843 0.483
12 Cr 0.500 0.500 0.500
13 Cr 0.204 0.204 0.168
14 Tl 0.982 0.982 0.999

# 5
First-principles (PBE) data for a relaxed SrP3H10C3NO9 crystal, as listed in the Materials Project.

Properties
- Mass density: 2.292 g/cm³
- ΔH_f (0 K): -1.444 eV/atom
- SG: No. 14

Unit cell a=14.046 b=8.202 c=11.049 alpha=61.12 beta=90.00 gamma=90.00
Fractional coordinates of all 108 atoms:
1 P 0.040 0.783 0.242
2 P 0.460 0.783 0.742
3 P 0.141 0.640 0.815
4 P 0.359 0.640 0.315
5 P 0.960 0.217 0.758
6 P 0.859 0.360 0.185
7 P 0.326 0.163 0.879
8 P 0.540 0.217 0.258
9 P 0.826 0.837 0.621
10 P 0.174 0.163 0.379
11 P 0.674 0.837 0.121
12 P 0.641 0.360 0.685
13 H 0.609 0.040 0.743
14 H 0.844 0.976 0.809
15 H 0.296 0.867 0.012
16 H 0.109 0.960 0.757
17 H 0.924 0.916 0.950
18 H 0.531 0.025 0.088
19 H 0.068 0.371 0.873
20 H 0.059 0.290 0.132
21 H 0.179 0.662 0.245
22 H 0.086 0.805 0.935
23 H 0.031 0.975 0.412
24 H 0.321 0.662 0.745
25 H 0.004 0.210 0.366
26 H 0.344 0.024 0.691
27 H 0.424 0.084 0.550
28 H 0.559 0.710 0.368
29 H 0.932 0.629 0.127
30 H 0.432 0.371 0.373
31 H 0.704 0.133 0.988
32 H 0.076 0.084 0.050
33 H 0.891 0.040 0.243
34 H 0.204 0.867 0.512
35 H 0.156 0.024 0.191
36 H 0.414 0.805 0.435
37 H 0.469 0.975 0.912
38 H 0.796 0.133 0.488
39 H 0.576 0.916 0.450
40 H 0.941 0.710 0.868
41 H 0.969 0.025 0.588
42 H 0.996 0.790 0.634
43 H 0.679 0.338 0.255
44 H 0.496 0.210 0.866
45 H 0.391 0.960 0.257
46 H 0.586 0.195 0.565
47 H 0.914 0.195 0.065
48 H 0.821 0.338 0.755
49 H 0.656 0.976 0.309
50 H 0.568 0.629 0.627
51 H 0.504 0.790 0.134
52 H 0.441 0.290 0.632
53 O 0.717 0.694 0.257
54 O 0.640 0.326 0.833
55 O 0.833 0.798 0.501
56 O 0.620 0.302 0.314
57 O 0.271 0.970 0.925
58 O 0.945 0.769 0.180
59 O 0.922 0.538 0.088
60 O 0.380 0.698 0.686
61 O 0.422 0.462 0.412
62 O 0.283 0.306 0.743
63 O 0.539 0.309 0.102
64 O 0.667 0.798 0.001
65 O 0.555 0.769 0.680
66 O 0.445 0.231 0.320
67 O 0.761 0.369 0.126
68 O 0.140 0.674 0.667
69 O 0.578 0.538 0.588
70 O 0.771 0.030 0.575
71 O 0.261 0.631 0.374
72 O 0.120 0.698 0.186
73 O 0.783 0.694 0.757
74 O 0.039 0.691 0.398
75 O 0.729 0.030 0.075
76 O 0.360 0.674 0.167
77 O 0.860 0.326 0.333
78 O 0.217 0.306 0.243
79 O 0.961 0.309 0.602
80 O 0.461 0.691 0.898
81 O 0.739 0.369 0.626
82 O 0.239 0.631 0.874
83 O 0.880 0.302 0.814
84 O 0.333 0.202 0.999
85 O 0.167 0.202 0.499
86 O 0.229 0.970 0.425
87 O 0.078 0.462 0.912
88 O 0.055 0.231 0.820
89 C 0.920 0.973 0.837
90 C 0.551 0.880 0.155
91 C 0.051 0.120 0.345
92 C 0.420 0.027 0.663
93 C 0.076 0.826 0.830
94 C 0.080 0.027 0.163
95 C 0.576 0.174 0.670
96 C 0.424 0.826 0.330
97 C 0.924 0.174 0.170
98 C 0.580 0.973 0.337
99 C 0.449 0.120 0.845
100 C 0.949 0.880 0.655
101 Sr 0.849 0.562 0.424
102 Sr 0.651 0.562 0.924
103 Sr 0.151 0.438 0.576
104 Sr 0.349 0.438 0.076
105 N 0.470 0.161 0.699
106 N 0.970 0.839 0.801
107 N 0.030 0.161 0.199
108 N 0.530 0.839 0.301

# 6
First-principles (PBE) data for a relaxed MgCuBiO5 crystal, as listed in the Materials Project.

Properties
- Energy above the most stable polymorph in this dataset: 0 meV/atom
- Mass density: 5.576 g/cm³
- ΔH_f (0 K): -1.511 eV/atom
- SG: No. 14

Unit cell a=10.305 b=5.392 c=8.517 alpha=71.54 beta=90.00 gamma=90.00
Fractional coordinates of all 32 atoms:
1 O 0.725 0.767 0.494
2 O 0.963 0.252 0.010
3 O 0.463 0.748 0.490
4 O 0.036 0.312 0.689
5 O 0.720 0.204 0.776
6 O 0.464 0.312 0.189
7 O 0.536 0.688 0.811
8 O 0.775 0.767 0.994
9 O 0.028 0.151 0.351
10 O 0.528 0.849 0.149
11 O 0.225 0.233 0.006
12 O 0.220 0.796 0.724
13 O 0.280 0.796 0.224
14 O 0.780 0.204 0.276
15 O 0.972 0.849 0.649
16 O 0.037 0.748 0.990
17 O 0.964 0.688 0.311
18 O 0.472 0.151 0.851
19 O 0.275 0.233 0.506
20 O 0.537 0.252 0.510
21 Mg 0.100 0.511 0.844
22 Mg 0.900 0.489 0.156
23 Mg 0.400 0.511 0.344
24 Mg 0.600 0.489 0.656
25 Cu 0.880 0.940 0.430
26 Cu 0.380 0.060 0.070
27 Cu 0.120 0.060 0.570
28 Cu 0.620 0.940 0.930
29 Bi 0.406 0.954 0.667
30 Bi 0.594 0.046 0.333
31 Bi 0.906 0.046 0.833
32 Bi 0.094 0.954 0.167

# 7
First-principles (PBE) data for a relaxed Na3YAlP3O12 crystal, as listed in the Materials Project.

Properties
- Energy above the most stable polymorph in this dataset: 2 meV/atom
- Mass density: 3.023 g/cm³
- ΔH_f (0 K): -2.964 eV/atom
- SG: No. 1

Unit cell a=15.647 b=8.951 c=8.990 alpha=90.04 beta=124.95 gamma=90.02
Fractional coordinates of all 80 atoms:
1 P 0.657 0.117 0.246
2 P 0.997 0.969 0.751
3 P 0.487 0.433 0.745
4 P 0.665 0.888 0.752
5 P 0.485 0.547 0.224
6 P 0.998 0.050 0.231
7 P 0.864 0.593 0.260
8 P 0.142 0.597 0.231
9 P 0.143 0.380 0.748
10 P 0.347 0.113 0.243
11 P 0.361 0.910 0.782
12 P 0.868 0.403 0.756
13 Y 0.397 0.750 0.440
14 Y 0.609 0.738 0.060
15 Y 0.601 0.261 0.555
16 Y 0.108 0.764 0.554
17 O 0.443 0.154 0.436
18 O 0.754 0.190 0.265
19 O 0.248 0.182 0.215
20 O 0.076 0.969 0.410
21 O 0.231 0.667 0.228
22 O 0.759 0.807 0.771
23 O 0.676 0.060 0.747
24 O 0.160 0.623 0.417
25 O 0.659 0.143 0.418
26 O 0.571 0.652 0.247
27 O 0.868 0.365 0.587
28 O 0.966 0.337 0.927
29 O 0.871 0.640 0.100
30 O 0.364 0.874 0.616
31 O 0.542 0.543 0.902
32 O 0.407 0.337 0.757
33 O 0.921 0.144 0.253
34 O 0.553 0.171 0.075
35 O 0.562 0.836 0.575
36 O 0.959 0.654 0.441
37 O 0.926 0.062 0.571
38 O 0.930 0.935 0.076
39 O 0.140 0.348 0.914
40 O 0.038 0.667 0.075
41 O 0.274 0.819 0.771
42 O 0.422 0.522 0.566
43 O 0.343 0.940 0.230
44 O 0.242 0.315 0.768
45 O 0.399 0.647 0.207
46 O 0.671 0.944 0.244
47 O 0.662 0.859 0.917
48 O 0.146 0.424 0.213
49 O 0.861 0.420 0.266
50 O 0.348 0.081 0.784
51 O 0.536 0.458 0.399
52 O 0.431 0.443 0.056
53 O 0.772 0.336 0.743
54 O 0.922 0.865 0.768
55 O 0.058 0.074 0.912
56 O 0.368 0.172 0.103
57 O 0.153 0.554 0.744
58 O 0.074 0.865 0.746
59 O 0.464 0.863 0.955
60 O 0.570 0.329 0.760
61 O 0.043 0.320 0.570
62 O 0.866 0.577 0.770
63 O 0.065 0.158 0.203
64 O 0.770 0.663 0.246
65 Na 0.818 0.938 0.231
66 Na 0.749 0.274 0.007
67 Na 0.503 0.907 0.243
68 Na 0.238 0.210 0.491
69 Na 0.000 0.384 0.238
70 Na 0.239 0.781 0.996
71 Na 0.297 0.433 0.194
72 Na 0.308 0.553 0.738
73 Na 0.504 0.091 0.770
74 Na 0.817 0.072 0.721
75 Na 0.749 0.714 0.506
76 Na 0.005 0.623 0.751
77 Al 0.388 0.254 0.935
78 Al 0.098 0.247 0.046
79 Al 0.900 0.253 0.447
80 Al 0.900 0.746 0.945

# 8
First-principles (PBE) data for a relaxed Pr2Mn3CoGe4 crystal, as listed in the Materials Project.

Properties
- Mass density: 7.351 g/cm³
- ΔH_f (0 K): -0.482 eV/atom
- SG: No. 115

Unit cell a=4.062 b=4.062 c=10.900 alpha=90.00 beta=90.00 gamma=90.00
Fractional coordinates of all 10 atoms:
1 Pr 0.000 0.000 0.002
2 Pr 0.500 0.500 0.498
3 Ge 0.000 0.000 0.625
4 Ge 0.000 0.000 0.372
5 Ge 0.500 0.500 0.875
6 Ge 0.500 0.500 0.128
7 Mn 0.500 0.000 0.250
8 Mn 0.000 0.500 0.750
9 Mn 0.500 0.000 0.750
10 Co 0.000 0.500 0.250

> Among the records above, which one has the highest ΔH_f (0 K)?

LaCu5

> Look up the mass density of the sixth one.

5.576 g/cm³

> Among the records above, which one has the lowest ΔH_f (0 K)?

K3EuF6